# 1
# PBE+U Li8Fe3Ni7O20, relaxed
data_Li8Fe3Ni7O20
_chemical_formula_sum 'Li8 Fe3 Ni7 O20'
_cell_length_a 2.8796
_cell_length_b 5.1726
_cell_length_c 23.8679
_cell_angle_alpha 86.45
_cell_angle_beta 90.00
_cell_angle_gamma 90.00
_space_group_name_H-M_alt 'P 1'
_space_group_IT_number 1
_space_group_name_Hall 'P 1'
loop_
_atom_site_label
_atom_site_fract_x
_atom_site_fract_y
_atom_site_fract_z
Ni1 0.5000 0.1074 0.1992
Ni2 0.5000 0.8926 0.8008
Ni3 0.0000 0.0978 0.7021
Ni4 0.0000 0.6982 0.9014
Ni5 0.0000 0.9022 0.2979
Ni6 0.0000 0.3018 0.0986
Ni7 0.5000 0.5000 0.0000
Li1 0.0000 0.3822 0.8086
Li2 0.0000 0.8028 0.6012
Li3 0.0000 0.0000 0.0000
Li4 0.5000 0.6013 0.7000
Li5 0.5000 0.0000 0.5000
Li6 0.0000 0.1972 0.3988
Li7 0.5000 0.3987 0.3000
Li8 0.0000 0.6178 0.1914
Fe1 0.0000 0.5000 0.5000
Fe2 0.5000 0.6934 0.3971
Fe3 0.5000 0.3066 0.6029
O1 0.5000 0.4048 0.1502
O2 0.0000 0.0167 0.8427
O3 0.0000 0.1700 0.5518
O4 0.5000 0.0267 0.3467
O5 0.5000 0.7972 0.2467
O6 0.0000 0.7613 0.7573
O7 0.0000 0.5524 0.3480
O8 0.0000 0.3745 0.9577
O9 0.5000 0.5952 0.8498
O10 0.0000 0.4476 0.6520
O11 0.5000 0.9733 0.6533
O12 0.5000 0.2028 0.7533
O13 0.0000 0.2387 0.2427
O14 0.0000 0.8300 0.4482
O15 0.5000 0.1992 0.0480
O16 0.0000 0.6255 0.0423
O17 0.5000 0.8008 0.9520
O18 0.0000 0.9833 0.1573
O19 0.5000 0.3609 0.4501
O20 0.5000 0.6391 0.5499
# Calculated volume (A^3/atom): 9.338
# Electronic total energy (eV/atom): -5.25
# M_tot (μB per atom): 0.526
# ΔE_f (eV per formula unit): -57.6

# 2
# PBE+U Li3Fe3NiO8, relaxed
data_Li3Fe3NiO8
_chemical_formula_sum 'Li3 Fe3 Ni1 O8'
_cell_length_a 5.9484
_cell_length_b 5.9484
_cell_length_c 5.9484
_cell_angle_alpha 59.49
_cell_angle_beta 59.49
_cell_angle_gamma 59.49
_space_group_name_H-M_alt 'P 1'
_space_group_IT_number 1
_space_group_name_Hall 'P 1'
loop_
_atom_site_label
_atom_site_fract_x
_atom_site_fract_y
_atom_site_fract_z
Li1 0.0000 0.5000 0.0000
Li2 0.5000 0.0000 0.0000
Li3 0.0000 0.0000 0.5000
Fe1 0.5000 0.0000 0.5000
Fe2 0.0000 0.5000 0.5000
Fe3 0.5000 0.5000 0.0000
O1 0.2274 0.2274 0.7615
O2 0.2573 0.2573 0.2573
O3 0.7726 0.7726 0.2385
O4 0.7427 0.7427 0.7427
O5 0.2385 0.7726 0.7726
O6 0.7726 0.2385 0.7726
O7 0.7615 0.2274 0.2274
O8 0.2274 0.7615 0.2274
Ni1 0.0000 0.0000 0.0000
# Calculated volume (A^3/atom): 9.806
# Electronic total energy (eV/atom): -5.82
# M_tot (μB per atom): 1.000
# ΔE_f (eV per formula unit): -25.6

# 3
# PBE+U Li2FeNiO4, relaxed
data_Li2FeNiO4
_chemical_formula_sum 'Li4 Fe2 Ni2 O8'
_cell_length_a 5.1655
_cell_length_b 5.7823
_cell_length_c 5.1655
_cell_angle_alpha 90.00
_cell_angle_beta 68.09
_cell_angle_gamma 90.00
_space_group_name_H-M_alt 'P 1'
_space_group_IT_number 1
_space_group_name_Hall 'P 1'
loop_
_atom_site_label
_atom_site_fract_x
_atom_site_fract_y
_atom_site_fract_z
O1 0.2289 0.0002 0.2286
O2 0.7286 0.4998 0.7288
O3 0.7680 0.2499 0.2677
O4 0.7337 0.7498 0.2340
O5 0.2714 0.4998 0.2711
O6 0.7712 0.0002 0.7714
O7 0.2660 0.7501 0.7663
O8 0.2323 0.2502 0.7320
Li1 0.5000 0.2500 0.0000
Li2 0.0000 0.7500 0.5000
Li3 0.0000 0.4992 0.0000
Li4 0.5000 0.0008 0.5000
Fe1 0.5000 0.7500 0.0000
Fe2 0.0000 0.2500 0.5000
Ni1 0.5000 0.4996 0.5000
Ni2 0.0000 0.0004 0.0000
# Calculated volume (A^3/atom): 8.946
# Electronic total energy (eV/atom): -5.51
# M_tot (μB per atom): 0.125
# ΔE_f (eV per formula unit): -13.7

# 4
# PBE+U Li2FeNiO4, relaxed
data_Li2FeNiO4
_chemical_formula_sum 'Li4 Fe2 Ni2 O8'
_cell_length_a 4.0329
_cell_length_b 7.8509
_cell_length_c 5.1608
_cell_angle_alpha 91.67
_cell_angle_beta 113.00
_cell_angle_gamma 104.88
_space_group_name_H-M_alt 'P 1'
_space_group_IT_number 1
_space_group_name_Hall 'P 1'
loop_
_atom_site_label
_atom_site_fract_x
_atom_site_fract_y
_atom_site_fract_z
Fe1 0.3731 0.1262 0.6200
Fe2 0.8731 0.6262 0.1201
O1 0.2618 0.2387 0.2848
O2 0.8835 0.1171 0.6499
O3 0.6187 0.3817 0.8559
O4 0.1187 0.8816 0.3559
O5 0.3835 0.6171 0.1499
O6 0.9880 0.5121 0.4639
O7 0.7618 0.7387 0.7849
O8 0.4880 0.0121 0.9639
Li1 0.2465 0.7536 0.7394
Li2 0.6277 0.8723 0.3831
Li3 0.7465 0.2536 0.2393
Li4 0.1276 0.3723 0.8831
Ni1 0.5007 0.4984 0.5029
Ni2 0.0007 0.9983 0.0030
# Calculated volume (A^3/atom): 8.988
# Electronic total energy (eV/atom): -5.50
# M_tot (μB per atom): 0.000
# ΔE_f (eV per formula unit): -13.7